Record 1
Density functional theory data (GGA-PBE) for a relaxed structure of RbZr2As3O12.

Calculated values
Total moment = 0.0 μB/f.u.
Energy of formation from the pure elements = -2.524 eV/atom
VASP energy = -7.145 eV/atom

```
data_RbZr2As3O12
_chemical_formula_sum 'Rb6 Zr12 As18 O72'
_symmetry_space_group_name_H-M 'R -3 c'
_symmetry_Int_Tables_number 167
_symmetry_space_group_name_Hall '-R 3 2"c'
_cell_length_a 9.1542
_cell_length_b 9.1542
_cell_length_c 25.6112
_cell_angle_alpha 90.00
_cell_angle_beta 90.00
_cell_angle_gamma 120.00
loop_
_atom_site_label
_atom_site_fract_x
_atom_site_fract_y
_atom_site_fract_z
_atom_site_occupancy
Rb1 0.0000 0.0000 0.0000 1
Zr1 0.0000 0.0000 0.1503 1
As1 0.0000 0.2812 0.2500 1
O1 0.0283 0.1939 0.9002 1
O2 0.0632 0.2114 0.1975 1
```


Record 2
Density functional theory data (GGA-PBE) for a relaxed structure of LiSbPO5.

Calculated values
Total moment = 0.0 μB/f.u.
Energy of formation from the pure elements = -2.330 eV/atom
Energy above the most stable polymorph in this dataset = 0.0000 eV/atom
VASP energy = -6.425 eV/atom

```
data_LiSbPO5
_chemical_formula_sum 'Li8 Sb8 P8 O40'
_symmetry_space_group_name_H-M 'P 1'
_symmetry_Int_Tables_number 1
_symmetry_space_group_name_Hall 'P 1'
_cell_length_a 8.368
_cell_length_b 10.376
_cell_length_c 11.056
_cell_angle_alpha 78.96
_cell_angle_beta 68.54
_cell_angle_gamma 67.60
loop_
_atom_site_label
_atom_site_fract_x
_atom_site_fract_y
_atom_site_fract_z
_atom_site_occupancy
Li1 0.000 0.000 0.000 1
Li2 0.002 0.900 0.340 1
Li3 0.223 0.149 0.623 1
Li4 0.245 0.252 0.249 1
Li5 0.474 0.398 0.870 1
Li6 0.488 0.506 0.511 1
Li7 0.736 0.644 0.110 1
Li8 0.781 0.798 0.618 1
Sb1 0.016 0.975 0.611 1
Sb2 0.130 0.602 0.734 1
Sb3 0.261 0.225 0.861 1
Sb4 0.399 0.851 0.974 1
Sb5 0.507 0.478 0.110 1
Sb6 0.641 0.102 0.229 1
Sb7 0.760 0.724 0.353 1
Sb8 0.889 0.352 0.481 1
P1 0.117 0.664 0.026 1
P2 0.160 0.551 0.421 1
P3 0.369 0.910 0.274 1
P4 0.416 0.794 0.672 1
P5 0.619 0.153 0.530 1
P6 0.669 0.050 0.921 1
P7 0.869 0.406 0.780 1
P8 0.916 0.298 0.170 1
O1 0.042 0.274 0.766 1
O2 0.053 0.180 0.528 1
O3 0.057 0.696 0.901 1
O4 0.084 0.305 0.054 1
O5 0.113 0.424 0.402 1
O6 0.157 0.795 0.043 1
O7 0.207 0.894 0.390 1
O8 0.226 0.520 0.544 1
O9 0.235 0.021 0.921 1
O10 0.257 0.934 0.676 1
O11 0.290 0.533 0.011 1
O12 0.298 0.432 0.780 1
O13 0.308 0.939 0.150 1
O14 0.319 0.567 0.301 1
O15 0.364 0.671 0.652 1
O16 0.409 0.043 0.288 1
O17 0.449 0.144 0.641 1
O18 0.472 0.764 0.799 1
O19 0.479 0.274 0.177 1
O20 0.504 0.186 0.931 1
O21 0.546 0.781 0.258 1
O22 0.547 0.678 0.034 1
O23 0.570 0.187 0.401 1
O24 0.590 0.800 0.559 1
O25 0.618 0.923 0.910 1
O26 0.663 0.283 0.547 1
O27 0.702 0.391 0.892 1
O28 0.726 0.520 0.426 1
O29 0.736 0.022 0.044 1
O30 0.750 0.433 0.180 1
O31 0.786 0.017 0.522 1
O32 0.799 0.928 0.280 1
O33 0.817 0.441 0.651 1
O34 0.837 0.056 0.803 1
O35 0.870 0.168 0.156 1
O36 0.910 0.534 0.802 1
O37 0.952 0.647 0.142 1
O38 0.979 0.270 0.295 1
O39 0.981 0.774 0.673 1
O40 0.989 0.687 0.439 1
```


Record 3
Density functional theory data (GGA-PBE) for a relaxed structure of YB2Rh3.

Calculated values
Energy of formation from the pure elements = -0.698 eV/atom
VASP energy = -7.684 eV/atom

```
data_YB2Rh3
_chemical_formula_sum 'Y1 B2 Rh3'
_symmetry_space_group_name_H-M 'P 6/m m m'
_symmetry_Int_Tables_number 191
_symmetry_space_group_name_Hall '-P 6 2'
_cell_length_a 5.4495
_cell_length_b 5.4495
_cell_length_c 3.1329
_cell_angle_alpha 90.00
_cell_angle_beta 90.00
_cell_angle_gamma 120.00
loop_
_atom_site_label
_atom_site_fract_x
_atom_site_fract_y
_atom_site_fract_z
_atom_site_occupancy
Y1 0.0000 0.0000 0.0000 1
B1 0.3333 0.6667 0.0000 1
Rh1 0.0000 0.5000 0.5000 1
```


Record 4
Density functional theory data (GGA-PBE) for a relaxed structure of Tb6Al39V8.

Calculated values
Total moment = 6.0 μB/f.u.
Energy of formation from the pure elements = -0.315 eV/atom
VASP energy = -4.967 eV/atom

```
data_Tb6Al39V8
_chemical_formula_sum 'Tb12 Al78 V16'
_symmetry_space_group_name_H-M 'P 63/m c m'
_symmetry_Int_Tables_number 193
_symmetry_space_group_name_Hall '-P 6c 2'
_cell_length_a 11.0067
_cell_length_b 11.0067
_cell_length_c 17.5498
_cell_angle_alpha 90.00
_cell_angle_beta 90.00
_cell_angle_gamma 120.00
loop_
_atom_site_label
_atom_site_fract_x
_atom_site_fract_y
_atom_site_fract_z
_atom_site_occupancy
Tb1 0.0000 0.4655 0.0989 1
Al1 0.0000 0.1520 0.7500 1
Al2 0.0000 0.1527 0.1176 1
Al3 0.0000 0.2507 0.5284 1
Al4 0.1540 0.5501 0.2500 1
Al5 0.1629 0.3963 0.6620 1
Al6 0.2502 0.5003 0.0000 1
V1 0.0000 0.0000 0.0000 1
V2 0.0000 0.2629 0.2500 1
V3 0.3333 0.6667 0.1300 1
```